The following is a DFT calculation (PBE-GGA) of a geometry-optimized Nd3Si2ClO8 structure.

Cell: 14.2991 6.4565 8.8242 Å, 90.00 98.19 90.00°
Space group C2/c (No. 15)
Unique sites:
1 Nd 0.0000 0.0751 0.2500 [4 per cell]
2 Nd 0.1849 0.3951 0.6710 [8 per cell]
3 Si 0.1580 0.0544 0.0250 [8 per cell]
4 Cl 0.0000 0.4750 0.7500 [4 per cell]
5 O 0.0775 0.1282 0.5307 [8 per cell]
6 O 0.1426 0.2392 0.1447 [8 per cell]
7 O 0.1546 0.1136 0.8440 [8 per cell]
8 O 0.2382 0.4431 0.4185 [8 per cell]

**Raw total energy**: -7.91 eV per atom
**Formation energy from the elements**: -3.544 eV/atom
**Energy above the lowest structure with this stoichiometry**: 14 meV per atom